VASP calculation (PBE with a Hubbard U) on a relaxed structure of Ho2MgMo2Cl2O8.

Properties
Calculated formation energy: -38.33 eV per formula unit
Total magnetization: 2.00 Bohr magnetons per cell
SG: No. 1
Distance to the lowest polymorph of the same formula: 0.027 eV/atom
Raw total energy: -6.811 eV/atom

Cell and atoms, written as CIF:
```
data_Ho2MgMo2Cl2O8
_chemical_formula_sum 'Ho2 Mg1 Mo2 Cl2 O8'
_cell_length_a 6.4803
_cell_length_b 6.4914
_cell_length_c 6.9485
_cell_angle_alpha 72.99
_cell_angle_beta 73.00
_cell_angle_gamma 66.22
_symmetry_space_group_name_H-M 'P 1'
_symmetry_Int_Tables_number 1
_symmetry_space_group_name_Hall 'P 1'
loop_
_atom_site_label
_atom_site_type_symbol
_atom_site_fract_x
_atom_site_fract_y
_atom_site_fract_z
Ho1 Ho 0.2341 0.2445 0.8936
Ho2 Ho 0.7546 0.7649 0.1063
Mg1 Mg 0.6901 0.3097 0.5003
Mo1 Mo 0.3614 0.3552 0.2672
Mo2 Mo 0.6433 0.6389 0.7324
O1 O 0.5504 0.5262 0.2238
O2 O 0.7549 0.6186 0.4559
O3 O 0.9060 0.5398 0.8444
O4 O 0.1182 0.5133 0.1306
O5 O 0.4736 0.4483 0.7764
O6 O 0.3811 0.2443 0.5441
O7 O 0.4598 0.0931 0.1552
O8 O 0.4852 0.8811 0.8696
Cl1 Cl 0.9525 0.0476 0.2488
Cl2 Cl 0.9533 0.0455 0.7514
```

---

VASP calculation (PBE with a Hubbard U) on a relaxed structure of Li3V3O3F5.

Properties
Calculated formation energy: -39.47 eV per formula unit
Total magnetization: 0.00 Bohr magnetons per cell
Distance to the lowest polymorph of the same formula: 0.000 eV/atom
Raw total energy: -6.242 eV/atom

Cell and atoms, written as CIF:
```
data_Li3V3O3F5
_chemical_formula_sum 'Li6 V6 O6 F10'
_cell_length_a 6.0840
_cell_length_b 10.4797
_cell_length_c 6.0629
_cell_angle_alpha 73.78
_cell_angle_beta 119.41
_cell_angle_gamma 90.78
_symmetry_space_group_name_H-M 'P 1'
_symmetry_Int_Tables_number 1
_symmetry_space_group_name_Hall 'P 1'
loop_
_atom_site_label
_atom_site_type_symbol
_atom_site_fract_x
_atom_site_fract_y
_atom_site_fract_z
F1 F 0.0436 0.8122 0.6108
F2 F 0.3047 0.0705 0.6084
F3 F 0.8024 0.0671 0.5993
F4 F 0.5437 0.3122 0.6108
F5 F 0.5740 0.3038 0.1429
F6 F 0.3292 0.0618 0.1403
F7 F 0.8040 0.5703 0.6083
F8 F 0.0739 0.8040 0.1428
F9 F 0.8289 0.5619 0.1405
F10 F 0.3022 0.5671 0.5995
Li1 Li 0.9894 0.0027 0.0155
Li2 Li 0.4208 0.1936 0.3589
Li3 Li 0.4893 0.5026 0.0157
Li4 Li 0.3941 0.8682 0.7567
Li5 Li 0.8939 0.3682 0.7565
Li6 Li 0.9211 0.6934 0.3594
V1 V 0.9447 0.1927 0.3643
V2 V 0.4444 0.6928 0.3640
V3 V 0.9380 0.6860 0.8770
V4 V 0.1807 0.4330 0.3621
V5 V 0.6811 0.9326 0.3620
V6 V 0.4380 0.1861 0.8766
O1 O 0.5724 0.8086 0.1564
O2 O 0.0811 0.3086 0.6027
O3 O 0.0721 0.3086 0.1564
O4 O 0.8003 0.0668 0.1550
O5 O 0.3010 0.5663 0.1554
O6 O 0.5808 0.8086 0.6018
```

---

total magnetization of number 1 (Ho2MgMo2Cl2O8)?
2.00 Bohr magnetons per cell